Ba2CaCrO6: optimized geometry, PBE with a Hubbard U.

Properties
Formation enthalpy at 0 K (kJ/mol of formula units): -2514
E_tot (eV/atom): -6.512

a b c (Å): 8.3078 8.3078 8.3078
angles (deg): 90.00 90.00 90.00
Space group Fm-3m (No. 225)
Symmetry-distinct sites (fractional):
Ba 0.2500 0.2500 0.2500
Ca 0.0000 0.0000 0.0000
Cr 0.0000 0.0000 0.5000
O 0.0000 0.0000 0.2756